Record 1
Here is a geometry-optimized Na9Mg4Nb2P9O36 structure from the Materials Project database. Energies are from PBE.

Results
offset from the most stable computed form: 5 meV per atom
E_tot: -6.81 eV per atom

a b c (Å): 15.5540 26.8567 8.9152
angles (deg): 89.88 125.02 90.06
Last column: nearest neighbours and their distance in Å.
Positions (direct):
O 0.3420 0.6454 0.2636  1 P 1.54
O 0.0603 0.6869 0.9246  1 P 1.63
Na 0.9960 0.8752 0.7386  6 O 2.35-2.61
Mg 0.6034 0.4200 0.5641  6 O 2.05-2.21
O 0.4648 0.9432 0.9217  1 P 1.64
O 0.5798 0.7845 0.7364  1 P 1.58
Nb 0.1070 0.0837 0.0589  6 O 1.94-2.12
O 0.1519 0.5428 0.4189  1 P 1.55
O 0.7700 0.4373 0.7623  1 P 1.53
O 0.9567 0.7771 0.9290  1 P 1.59
Na 0.2473 0.5822 0.0002  6 O 2.38-2.57
O 0.6565 0.9730 0.2366  1 P 1.61
O 0.3416 0.6897 0.7554  1 P 1.54
O 0.9292 0.3859 0.2584  1 P 1.51
P 0.4976 0.1507 0.7456  4 O 1.50-1.63
O 0.9263 0.6156 0.7618  1 P 1.52
O 0.0403 0.2168 0.0619  1 P 1.51
P 0.1443 0.1325 0.7333  4 O 1.50-1.60
O 0.7576 0.7727 0.7331  1 P 1.60
O 0.8479 0.4505 0.5808  1 P 1.53
O 0.7668 0.1062 0.7623  1 P 1.54
Nb 0.6087 0.7518 0.5618  6 O 1.95-2.08
O 0.6522 0.3082 0.2322  1 P 1.61
Na 0.6845 0.1886 0.7558  6 O 2.38-2.58
O 0.0838 0.3801 0.2451  1 P 1.58
Mg 0.8956 0.7482 0.4389  6 O 1.99-2.15
O 0.9228 0.9521 0.7610  1 P 1.54
O 0.0406 0.1177 0.5597  1 P 1.51
O 0.0596 0.3117 0.4095  1 P 1.61
O 0.0426 0.8847 0.0683  1 P 1.53
Na 0.9940 0.5402 0.7375  6 O 2.35-2.61
O 0.5429 0.9491 0.5658  1 P 1.52
O 0.9250 0.2824 0.7538  1 P 1.53
P 0.9976 0.6507 0.7456  4 O 1.50-1.63
Nb 0.6070 0.5837 0.0589  6 O 1.94-2.12
P 0.4949 0.8489 0.2371  4 O 1.51-1.61
O 0.2531 0.3907 0.2370  1 P 1.61
O 0.6473 0.9464 0.9127  1 P 1.63
O 0.1473 0.4464 0.9127  1 P 1.63
O 0.7416 0.9443 0.7523  1 P 1.53
O 0.5838 0.8801 0.2451  1 P 1.58
Na 0.3055 0.5200 0.7128  5 O 2.38-2.60
P 0.4987 0.4843 0.7429  4 O 1.52-1.63
O 0.4343 0.5168 0.5730  1 P 1.52
Na 0.0011 0.7996 0.2693  4 O 2.35-2.56
O 0.4263 0.1156 0.7618  1 P 1.52
O 0.6393 0.2798 0.9038  1 P 1.62
Na 0.7526 0.9091 0.5225  4 O 2.31-2.53
P 0.6477 0.0326 0.2440  4 O 1.52-1.61
Na 0.7473 0.0822 0.0002  6 O 2.38-2.57
P 0.6460 0.9656 0.7382  4 O 1.52-1.63
O 0.5836 0.4521 0.7573  1 P 1.52
O 0.1565 0.4730 0.2366  1 P 1.61
O 0.0459 0.5505 0.0713  1 P 1.52
O 0.9343 0.0168 0.5730  1 P 1.52
P 0.6455 0.3678 0.2430  4 O 1.53-1.61
P 0.3557 0.3675 0.2596  4 O 1.52-1.61
O 0.2416 0.4443 0.7523  1 P 1.53
O 0.7531 0.8907 0.2370  1 P 1.61
O 0.2515 0.0595 0.2313  1 P 1.62
Mg 0.3978 0.7511 0.9458  6 O 2.00-2.16
O 0.3580 0.0477 0.0953  1 P 1.51
O 0.6489 0.6921 0.7388  1 P 1.60
Nb 0.6063 0.9132 0.0602  6 O 1.97-2.07
O 0.9648 0.4432 0.9217  1 P 1.64
P 0.9971 0.3180 0.7391  4 O 1.50-1.58
O 0.8416 0.1897 0.7554  1 P 1.54
O 0.9410 0.6843 0.5807  1 P 1.50
O 0.8475 0.8542 0.7635  1 P 1.52
O 0.5459 0.0505 0.0713  1 P 1.52
O 0.2391 0.8909 0.2550  1 P 1.53
O 0.6519 0.0428 0.4189  1 P 1.55
Na 0.6959 0.4732 0.3057  3 O 2.31-2.45
O 0.7404 0.6107 0.7581  1 P 1.50
O 0.3551 0.2845 0.5841  1 P 1.50
O 0.0778 0.0515 0.2309  1 P 1.61
O 0.2700 0.9373 0.7623  1 P 1.53
O 0.7396 0.7236 0.2578  1 P 1.51
O 0.3545 0.3861 0.0970  1 P 1.52
O 0.4250 0.7824 0.7538  1 P 1.53
O 0.1555 0.8568 0.7573  1 P 1.53
P 0.9949 0.3489 0.2371  4 O 1.51-1.61
Nb 0.1087 0.2518 0.5618  6 O 1.95-2.08
O 0.4338 0.8182 0.0646  1 P 1.51
P 0.1437 0.2016 0.2354  4 O 1.51-1.61
P 0.8544 0.5350 0.2566  4 O 1.51-1.62
O 0.8450 0.1184 0.5777  1 P 1.53
O 0.4410 0.1843 0.5807  1 P 1.50
O 0.5451 0.2817 0.5636  1 P 1.52
Nb 0.6036 0.2492 0.0614  6 O 1.95-2.10
Mg 0.1034 0.9200 0.5641  6 O 2.05-2.21
P 0.1477 0.5326 0.2440  4 O 1.52-1.61
Mg 0.3973 0.4163 0.9461  6 O 1.98-2.15
O 0.0881 0.6206 0.7620  1 P 1.56
O 0.3475 0.3542 0.7635  1 P 1.52
P 0.4971 0.8180 0.7391  4 O 1.50-1.58
O 0.9486 0.5546 0.4398  1 P 1.53
O 0.8513 0.5217 0.7647  1 P 1.52
P 0.8518 0.4652 0.7505  4 O 1.52-1.64
O 0.5587 0.5231 0.9149  1 P 1.63
Nb 0.1063 0.4132 0.0602  6 O 1.97-2.07
O 0.0451 0.7817 0.5636  1 P 1.52
O 0.3438 0.7143 0.0759  1 P 1.52
O 0.0836 0.9521 0.7573  1 P 1.52
O 0.9432 0.6486 0.0882  1 P 1.50
O 0.1384 0.1199 0.9031  1 P 1.60
P 0.9987 0.9843 0.7429  4 O 1.52-1.63
P 0.9996 0.6817 0.2540  4 O 1.50-1.65
Na 0.4925 0.6292 0.2487  5 O 2.34-2.53
O 0.3361 0.9784 0.2584  1 P 1.55
O 0.7590 0.2259 0.2509  1 P 1.58
O 0.8420 0.1454 0.2636  1 P 1.54
O 0.3513 0.0217 0.7647  1 P 1.52
O 0.0821 0.7170 0.2416  1 P 1.65
O 0.2429 0.5537 0.2521  1 P 1.55
O 0.3479 0.9505 0.5808  1 P 1.53
Na 0.2556 0.7514 0.5159  6 O 2.38-2.58
O 0.0647 0.3506 0.9183  1 P 1.58
Na 0.2526 0.4091 0.5225  4 O 2.31-2.53
P 0.4992 0.5157 0.2439  4 O 1.53-1.61
O 0.4619 0.6149 0.9217  1 P 1.60
O 0.4280 0.2201 0.2571  1 P 1.53
O 0.7391 0.3909 0.2550  1 P 1.53
O 0.9572 0.2229 0.4225  1 P 1.59
O 0.2396 0.2236 0.2578  1 P 1.51
Mg 0.8970 0.5843 0.9471  6 O 2.00-2.16
Na 0.8048 0.3561 0.7049  5 O 2.37-2.62
Na 0.1845 0.6886 0.7558  6 O 2.38-2.58
O 0.9619 0.1149 0.9217  1 P 1.60
P 0.3544 0.0350 0.2566  4 O 1.51-1.62
O 0.6370 0.7156 0.4044  1 P 1.61
O 0.1393 0.7798 0.9038  1 P 1.62
P 0.8499 0.1325 0.7488  4 O 1.53-1.60
O 0.9265 0.0518 0.2569  1 P 1.55
O 0.5719 0.4831 0.4111  1 P 1.53
Na 0.2621 0.0898 0.5307  4 O 2.28-2.53
O 0.6502 0.6428 0.2469  1 P 1.58
Na 0.2609 0.2492 0.0285  3 O 2.33-2.36
O 0.2413 0.7763 0.7570  1 P 1.54
O 0.1549 0.5229 0.7589  1 P 1.55
P 0.3547 0.2984 0.7462  4 O 1.50-1.60
Na 0.7621 0.5898 0.5307  4 O 2.28-2.53
Na 0.6868 0.1381 0.2988  4 O 2.34-2.61
O 0.2668 0.6062 0.7623  1 P 1.54
P 0.4996 0.1817 0.2540  4 O 1.50-1.65
P 0.6443 0.6325 0.7333  4 O 1.50-1.60
Mg 0.3956 0.2482 0.4389  6 O 1.99-2.15
O 0.8455 0.8109 0.2568  1 P 1.53
P 0.8547 0.7984 0.7462  4 O 1.50-1.60
O 0.1489 0.1921 0.7388  1 P 1.60
Mg 0.3984 0.5821 0.4424  6 O 2.00-2.14
Mg 0.3970 0.0843 0.9471  6 O 2.00-2.16
Na 0.7499 0.4180 0.0039  6 O 2.40-2.53
Nb 0.1036 0.7492 0.0614  6 O 1.95-2.10
O 0.4228 0.4521 0.7610  1 P 1.54
Na 0.8221 0.9763 0.2157  6 O 2.49-2.69
O 0.6384 0.6199 0.9031  1 P 1.60
Mg 0.8978 0.2511 0.9458  6 O 2.00-2.16
O 0.3450 0.6184 0.5777  1 P 1.53
P 0.1455 0.8678 0.2430  4 O 1.53-1.61
Na 0.7609 0.7492 0.0285  3 O 2.33-2.36
P 0.8507 0.2018 0.2486  4 O 1.52-1.59
Mg 0.0967 0.5846 0.5570  6 O 2.07-2.26
Na 0.8055 0.0200 0.7128  5 O 2.38-2.60
O 0.0429 0.4491 0.5658  1 P 1.52
Na 0.4962 0.7023 0.7552  5 O 2.42-2.61
Na 0.4960 0.3752 0.7386  6 O 2.35-2.61
O 0.4572 0.7229 0.4225  1 P 1.59
Na 0.3221 0.4763 0.2157  6 O 2.49-2.69
O 0.5821 0.2170 0.2416  1 P 1.65
Na 0.4940 0.0402 0.7375  6 O 2.35-2.61
O 0.5603 0.1869 0.9246  1 P 1.63
Mg 0.8984 0.0821 0.4424  6 O 2.00-2.14
O 0.5647 0.8506 0.9183  1 P 1.58
O 0.5778 0.5515 0.2309  1 P 1.61
O 0.7413 0.2763 0.7570  1 P 1.54
O 0.5406 0.6177 0.5597  1 P 1.51
O 0.2590 0.7259 0.2509  1 P 1.58
Mg 0.8968 0.4157 0.4378  6 O 2.00-2.13
O 0.1522 0.8082 0.2322  1 P 1.61
O 0.0798 0.2845 0.7364  1 P 1.58
O 0.0587 0.0231 0.9149  1 P 1.63
Mg 0.3968 0.9157 0.4378  6 O 2.00-2.13
P 0.8557 0.8675 0.2596  4 O 1.52-1.61
Mg 0.5967 0.0846 0.5570  6 O 2.07-2.26
Na 0.9985 0.4678 0.2654  4 O 2.40-2.62
Na 0.1959 0.9732 0.3057  3 O 2.31-2.45
P 0.9992 0.0157 0.2439  4 O 1.53-1.61
O 0.5768 0.1530 0.4343  1 P 1.55
Na 0.9925 0.1292 0.2487  5 O 2.34-2.53
O 0.9348 0.3515 0.5759  1 P 1.50
P 0.3518 0.9652 0.7505  4 O 1.52-1.64
O 0.5881 0.1206 0.7620  1 P 1.56
Na 0.7556 0.2514 0.5159  6 O 2.38-2.58
O 0.5403 0.7168 0.0619  1 P 1.51
O 0.8551 0.7845 0.5841  1 P 1.50
P 0.1452 0.8000 0.7384  4 O 1.52-1.62
O 0.5596 0.8117 0.4095  1 P 1.61
Mg 0.8973 0.9163 0.9461  6 O 1.98-2.15
P 0.3507 0.7018 0.2486  4 O 1.52-1.59
O 0.5426 0.3847 0.0683  1 P 1.53
O 0.7429 0.0537 0.2521  1 P 1.55
O 0.9338 0.3182 0.0646  1 P 1.51
O 0.6555 0.3568 0.7573  1 P 1.53
O 0.8545 0.8861 0.0970  1 P 1.52
O 0.6470 0.3758 0.4167  1 P 1.55
O 0.4292 0.8859 0.2584  1 P 1.51
O 0.0719 0.9831 0.4111  1 P 1.53
O 0.2576 0.2727 0.7331  1 P 1.60
P 0.3499 0.6325 0.7488  4 O 1.53-1.60
Na 0.1868 0.6381 0.2988  4 O 2.34-2.61
O 0.4486 0.0546 0.4398  1 P 1.53
P 0.1460 0.4656 0.7382  4 O 1.52-1.63
Na 0.9962 0.2023 0.7552  5 O 2.42-2.61
O 0.4311 0.4857 0.0675  1 P 1.53
O 0.7515 0.5595 0.2313  1 P 1.62
O 0.0768 0.6530 0.4343  1 P 1.55
O 0.1370 0.2156 0.4044  1 P 1.61
Na 0.2499 0.9180 0.0039  6 O 2.40-2.53
O 0.3455 0.3109 0.2568  1 P 1.53
O 0.1502 0.1428 0.2469  1 P 1.58
O 0.4567 0.2771 0.9290  1 P 1.59
O 0.8580 0.5477 0.0953  1 P 1.51
O 0.4481 0.3901 0.4400  1 P 1.54
O 0.4348 0.8515 0.5759  1 P 1.50
O 0.9311 0.9857 0.0675  1 P 1.53
O 0.4265 0.5518 0.2569  1 P 1.55
Na 0.3048 0.8561 0.7049  5 O 2.37-2.62
O 0.2404 0.1107 0.7581  1 P 1.50
O 0.8361 0.4784 0.2584  1 P 1.55
P 0.6437 0.7016 0.2354  4 O 1.51-1.61
O 0.8438 0.2143 0.0759  1 P 1.52
O 0.9481 0.8901 0.4400  1 P 1.54
O 0.4432 0.1486 0.0882  1 P 1.50
Na 0.5011 0.2996 0.2693  4 O 2.35-2.56
Na 0.4985 0.9678 0.2654  4 O 2.40-2.62
O 0.9280 0.7201 0.2571  1 P 1.53
O 0.6549 0.0229 0.7589  1 P 1.55
P 0.6452 0.3000 0.7384  4 O 1.52-1.62
O 0.1470 0.8758 0.4167  1 P 1.55



Record 2
Here is a geometry-optimized NaMgNb3P6O24 structure from the Materials Project database. Energies are from PBE.

Results
space-group type: No. 143
E_tot: -7.67 eV per atom

a b c (Å): 8.7743 8.7743 22.7806
angles (deg): 90.00 90.00 120.00
Last column: nearest neighbours and their distance in Å.
Positions (direct):
Na 0.0000 0.0000 0.0000  3 O 2.40
Na 0.0000 0.0000 0.4986  3 O 2.41
Na 0.3333 0.6667 0.1430  3 O 2.31
Mg 0.0000 0.0000 0.1334  6 O 2.07-2.08
Mg 0.0000 0.0000 0.6366  6 O 2.03-2.12
Mg 0.3333 0.6667 0.0122  6 O 2.06-2.09
Nb 0.0000 0.0000 0.3421  6 O 1.94-2.08
Nb 0.0000 0.0000 0.8455  6 O 1.97-2.01
Nb 0.3333 0.6667 0.3001  6 O 1.95-2.04
Nb 0.3333 0.6667 0.5182  6 O 1.94-2.06
Nb 0.3333 0.6667 0.8030  6 O 1.99
Nb 0.6667 0.3333 0.1752  6 O 1.92-2.09
Nb 0.6667 0.3333 0.4679  6 O 1.97-2.01
Nb 0.6667 0.3333 0.6843  6 O 1.94-2.08
Nb 0.6667 0.3333 0.9685  6 O 1.97-2.02
P 0.0050 0.2850 0.7382  4 O 1.48-1.59
P 0.0492 0.6672 0.9093  4 O 1.49-1.58
P 0.0503 0.3810 0.4081  4 O 1.54-1.55
P 0.2800 0.9950 0.7382  4 O 1.48-1.59
P 0.2875 0.2851 0.2378  4 O 1.48-1.60
P 0.3307 0.9497 0.4081  4 O 1.54-1.55
P 0.3328 0.3820 0.9093  4 O 1.49-1.58
P 0.3735 0.0398 0.0728  4 O 1.50-1.61
P 0.3779 0.3262 0.5744  4 O 1.49-1.58
P 0.6180 0.9508 0.9093  4 O 1.49-1.58
P 0.6190 0.6693 0.4081  4 O 1.54-1.55
P 0.6663 0.6265 0.0728  4 O 1.50-1.61
P 0.6738 0.0517 0.5744  4 O 1.49-1.58
P 0.7149 0.0024 0.2378  4 O 1.48-1.60
P 0.7150 0.7200 0.7382  4 O 1.48-1.59
P 0.9483 0.6221 0.5744  4 O 1.49-1.58
P 0.9602 0.3337 0.0728  4 O 1.50-1.61
P 0.9976 0.7125 0.2378  4 O 1.48-1.60
O 0.0211 0.8285 0.8959  1 P 1.58
O 0.0269 0.1949 0.4001  1 P 1.55
O 0.0368 0.2116 0.6840  1 P 1.48
O 0.0409 0.8295 0.1860  1 P 1.48
O 0.1314 0.6323 0.5632  1 P 1.58
O 0.1332 0.5031 0.0705  1 P 1.50
O 0.1344 0.4936 0.3530  1 P 1.54
O 0.1350 0.6418 0.8526  1 P 1.57
O 0.1593 0.4722 0.7524  1 P 1.55
O 0.1613 0.7075 0.9624  1 P 1.49
O 0.1616 0.6883 0.2521  1 P 1.59
O 0.1652 0.4674 0.4625  1 P 1.54
O 0.1679 0.9731 0.4001  1 P 1.55
O 0.1705 0.2114 0.1860  1 P 1.48
O 0.1715 0.1926 0.8959  1 P 1.58
O 0.1748 0.9632 0.6840  1 P 1.48
O 0.1961 0.1724 0.2955  1 P 1.60
O 0.1969 0.1694 0.5767  1 P 1.49
O 0.1998 0.0298 0.7941  1 P 1.56
O 0.2009 0.0367 0.0774  1 P 1.51
O 0.2925 0.4538 0.9624  1 P 1.49
O 0.3022 0.8348 0.4625  1 P 1.54
O 0.3117 0.4733 0.2521  1 P 1.59
O 0.3128 0.8407 0.7524  1 P 1.55
O 0.3582 0.4932 0.8526  1 P 1.57
O 0.3592 0.8656 0.3530  1 P 1.54
O 0.3677 0.4991 0.5632  1 P 1.58
O 0.3699 0.8668 0.0705  1 P 1.50
O 0.4702 0.1625 0.7308  1 P 1.59
O 0.4720 0.3089 0.2339  1 P 1.53
O 0.4749 0.1603 0.0185  1 P 1.58
O 0.4752 0.3117 0.5184  1 P 1.57
O 0.4943 0.1339 0.4170  1 P 1.55
O 0.4941 0.1415 0.1289  1 P 1.61
O 0.4955 0.3575 0.9151  1 P 1.55
O 0.4960 0.3618 0.6283  1 P 1.54
O 0.4969 0.6301 0.0705  1 P 1.50
O 0.5009 0.8686 0.5632  1 P 1.58
O 0.5064 0.6408 0.3530  1 P 1.54
O 0.5068 0.8650 0.8526  1 P 1.57
O 0.5267 0.8384 0.2521  1 P 1.59
O 0.5278 0.6872 0.7524  1 P 1.55
O 0.5326 0.6978 0.4625  1 P 1.54
O 0.5462 0.8387 0.9624  1 P 1.49
O 0.6382 0.1342 0.6283  1 P 1.54
O 0.6396 0.5057 0.4170  1 P 1.55
O 0.6425 0.1380 0.9151  1 P 1.55
O 0.6474 0.5059 0.1289  1 P 1.61
O 0.6853 0.5251 0.0185  1 P 1.58
O 0.6883 0.1635 0.5184  1 P 1.57
O 0.6911 0.1631 0.2339  1 P 1.53
O 0.6923 0.5298 0.7308  1 P 1.59
O 0.7884 0.8252 0.6840  1 P 1.48
O 0.7886 0.9591 0.1860  1 P 1.48
O 0.8051 0.8321 0.4001  1 P 1.55
O 0.8074 0.9789 0.8959  1 P 1.58
O 0.8276 0.0237 0.2955  1 P 1.60
O 0.8300 0.8002 0.7941  1 P 1.56
O 0.8306 0.0275 0.5767  1 P 1.49
O 0.8365 0.5248 0.5184  1 P 1.57
O 0.8358 0.7991 0.0774  1 P 1.51
O 0.8375 0.3077 0.7308  1 P 1.59
O 0.8369 0.5280 0.2339  1 P 1.53
O 0.8397 0.3147 0.0185  1 P 1.58
O 0.8585 0.3526 0.1289  1 P 1.61
O 0.8620 0.5045 0.9151  1 P 1.55
O 0.8661 0.3604 0.4170  1 P 1.55
O 0.8658 0.5040 0.6283  1 P 1.54
O 0.9633 0.1642 0.0774  1 P 1.51
O 0.9702 0.1700 0.7941  1 P 1.56
O 0.9725 0.8031 0.5767  1 P 1.49
O 0.9763 0.8039 0.2955  1 P 1.60



Volume values, unit Å³/cell, following the record order: 3049.8 1518.9.